## NiC2O6 (PBE+U)

Data for a relaxed structure of NiC2O6.

## Properties
* magnetization: 16.0 μB per cell
* energy relative to the lowest polymorph listed for this composition: 0.00 eV/f.u.
* space-group type: Cccm (66)
* electronic total energy: -6.2086 eV per atom

The structure in POSCAR format:
```
NiC2O6
1.0
3.155 -5.395 0.000
3.155 5.395 0.000
0.000 0.000 18.981
Ni C O
4 8 24
direct
0.000 0.000 0.250
0.000 0.000 0.750
0.000 0.500 0.000
0.500 0.000 0.500
0.000 0.500 0.410
0.000 0.500 0.590
0.500 0.000 0.090
0.500 0.000 0.910
0.500 0.500 0.160
0.500 0.500 0.340
0.500 0.500 0.660
0.500 0.500 0.840
0.162 0.838 0.250
0.162 0.838 0.750
0.172 0.349 0.000
0.188 0.684 0.410
0.188 0.684 0.590
0.312 0.316 0.340
0.312 0.316 0.660
0.316 0.312 0.160
0.316 0.312 0.840
0.316 0.812 0.090
0.316 0.812 0.910
0.349 0.172 0.500
0.651 0.828 0.500
0.684 0.188 0.090
0.684 0.188 0.910
0.684 0.688 0.160
0.684 0.688 0.840
0.688 0.684 0.340
0.688 0.684 0.660
0.812 0.316 0.410
0.812 0.316 0.590
0.828 0.651 0.000
0.838 0.162 0.250
0.838 0.162 0.750
```

=====

## NiC2O6 (PBE+U)

Data for a relaxed structure of NiC2O6.

## Properties
* magnetization: 8.0 μB per cell
* energy relative to the lowest polymorph listed for this composition: 1.57 eV/f.u.
* space-group type: C2/c (15)
* electronic total energy: -6.0340 eV per atom

The structure in POSCAR format:
```
NiC2O6
1.0
5.574 -2.636 0.000
5.574 2.636 0.000
-5.523 0.000 8.076
Ni C O
2 4 12
direct
0.173 0.827 0.750
0.827 0.173 0.250
0.280 0.625 0.153
0.375 0.720 0.347
0.625 0.280 0.653
0.720 0.375 0.847
0.016 0.668 0.750
0.031 0.804 0.082
0.196 0.969 0.418
0.332 0.984 0.750
0.375 0.458 0.582
0.458 0.375 0.082
0.542 0.625 0.918
0.625 0.542 0.418
0.668 0.016 0.250
0.804 0.031 0.582
0.969 0.196 0.918
0.984 0.332 0.250
```

=====

## NiC6O6 (PBE+U)

Data for a relaxed structure of NiC6O6.

## Properties
* magnetization: 12.0 μB per cell
* space-group type: C2/c (15)
* electronic total energy: -6.4426 eV per atom

The structure in POSCAR format:
```
NiC6O6
1.0
4.015 -8.622 0.000
4.015 8.622 0.000
-2.690 0.000 17.962
Ni C O
2 12 12
direct
0.000 0.500 0.000
0.500 0.000 0.500
0.017 0.705 0.002
0.073 0.469 0.751
0.100 0.879 0.002
0.121 0.900 0.498
0.295 0.983 0.498
0.469 0.073 0.251
0.531 0.927 0.749
0.705 0.017 0.502
0.879 0.100 0.502
0.900 0.121 0.998
0.927 0.531 0.249
0.983 0.295 0.998
0.035 0.347 0.712
0.039 0.177 0.502
0.177 0.039 0.002
0.334 0.511 0.248
0.347 0.035 0.212
0.489 0.666 0.252
0.511 0.334 0.748
0.653 0.965 0.788
0.666 0.489 0.752
0.823 0.961 0.998
0.961 0.823 0.498
0.965 0.653 0.288
```

=====

## NiCO3 (PBE+U)

Data for a relaxed structure of NiCO3.

## Properties
* space-group type: R-3c (167)
* electronic total energy: -6.7048 eV per atom

The structure in POSCAR format:
```
NiCO3
1.0
2.327 1.344 4.962
-2.327 1.344 4.962
0.000 -2.687 4.962
Ni C O
2 2 6
direct
0.000 0.000 0.000
0.500 0.500 0.500
0.250 0.250 0.250
0.750 0.750 0.750
0.028 0.750 0.472
0.250 0.528 0.972
0.472 0.028 0.750
0.528 0.972 0.250
0.750 0.472 0.028
0.972 0.250 0.528
```

=====

## Ni2P2C6O9 (PBE+U)

Data for a relaxed structure of Ni2P2C6O9.

## Properties
* magnetization: 0.0 μB per cell
* space-group type: P-43m (215)
* electronic total energy: -6.8340 eV per atom

The structure in POSCAR format:
```
Ni2P2C6O9
1.0
8.930 0.000 0.000
0.000 8.930 0.000
0.000 0.000 8.930
Ni P C O
4 4 12 18
direct
0.243 0.243 0.757
0.243 0.757 0.243
0.757 0.243 0.243
0.757 0.757 0.757
0.383 0.383 0.617
0.383 0.617 0.383
0.617 0.383 0.383
0.617 0.617 0.617
0.051 0.285 0.715
0.051 0.715 0.285
0.285 0.051 0.715
0.285 0.285 0.949
0.285 0.715 0.051
0.285 0.949 0.285
0.715 0.051 0.285
0.715 0.285 0.051
0.715 0.715 0.949
0.715 0.949 0.715
0.949 0.285 0.285
0.949 0.715 0.715
0.073 0.309 0.309
0.073 0.691 0.691
0.298 0.500 0.500
0.309 0.073 0.309
0.309 0.309 0.073
0.309 0.691 0.927
0.309 0.927 0.691
0.500 0.298 0.500
0.500 0.500 0.298
0.500 0.500 0.702
0.500 0.702 0.500
0.691 0.073 0.691
0.691 0.309 0.927
0.691 0.691 0.073
0.691 0.927 0.309
0.702 0.500 0.500
0.927 0.309 0.691
0.927 0.691 0.309
```

=====

## NiRu5C17O16 (PBE+U)

Data for a relaxed structure of NiRu5C17O16.

## Properties
* magnetization: 0.0 μB per cell
* space-group type: P-1 (2)
* electronic total energy: -7.8785 eV per atom

The structure in POSCAR format:
```
NiRu5C17O16
1.0
9.360 0.000 0.000
4.528 9.033 0.000
1.896 0.573 16.174
Ni Ru C O
2 10 34 32
direct
0.226 0.218 0.155
0.774 0.782 0.845
0.178 0.457 0.260
0.179 0.172 0.316
0.450 0.242 0.342
0.478 0.301 0.160
0.494 0.987 0.770
0.506 0.013 0.230
0.522 0.699 0.840
0.550 0.758 0.658
0.821 0.828 0.684
0.822 0.543 0.740
0.010 0.523 0.189
0.015 0.718 0.618
0.044 0.550 0.356
0.066 0.161 0.224
0.156 0.220 0.058
0.187 0.997 0.373
0.222 0.623 0.234
0.268 0.065 0.790
0.331 0.876 0.637
0.334 0.814 0.909
0.336 0.233 0.242
0.367 0.179 0.441
0.377 0.415 0.067
0.425 0.583 0.807
0.429 0.419 0.387
0.467 0.151 0.696
0.483 0.921 0.138
0.517 0.079 0.862
0.533 0.849 0.304
0.571 0.581 0.613
0.575 0.417 0.193
0.623 0.585 0.933
0.633 0.821 0.559
0.664 0.767 0.758
0.666 0.186 0.091
0.669 0.124 0.363
0.732 0.935 0.210
0.778 0.377 0.766
0.813 0.003 0.627
0.844 0.780 0.942
0.934 0.839 0.776
0.956 0.450 0.644
0.985 0.282 0.382
0.990 0.477 0.811
0.034 0.389 0.586
0.038 0.860 0.796
0.099 0.428 0.851
0.109 0.222 0.995
0.129 0.119 0.799
0.136 0.655 0.580
0.187 0.893 0.409
0.198 0.944 0.623
0.222 0.875 0.955
0.245 0.727 0.219
0.316 0.490 0.011
0.337 0.142 0.508
0.367 0.511 0.790
0.422 0.523 0.417
0.443 0.255 0.653
0.480 0.857 0.083
0.520 0.143 0.917
0.557 0.745 0.347
0.578 0.477 0.583
0.633 0.489 0.210
0.663 0.858 0.492
0.684 0.510 0.989
0.755 0.273 0.781
0.778 0.125 0.045
0.802 0.056 0.377
0.813 0.107 0.591
0.864 0.345 0.420
0.871 0.881 0.201
0.891 0.778 0.005
0.901 0.572 0.149
0.962 0.140 0.204
0.966 0.611 0.414
```

=====

## VC2O6 (PBE+U)

Data for a relaxed structure of VC2O6.

## Properties
* magnetization: 4.0 μB per cell
* energy relative to the lowest polymorph listed for this composition: 0.12 eV/f.u.
* space-group type: P-1 (2)
* electronic total energy: -7.6567 eV per atom

The structure in POSCAR format:
```
VC2O6
1.0
6.140 0.000 0.000
-1.611 6.651 0.000
-0.652 -3.155 11.851
V C O
4 8 24
direct
0.174 0.250 0.163
0.174 0.250 0.663
0.826 0.750 0.337
0.826 0.750 0.837
0.108 0.195 0.405
0.109 0.195 0.905
0.311 0.694 0.304
0.311 0.695 0.805
0.689 0.305 0.195
0.689 0.306 0.696
0.891 0.805 0.095
0.892 0.805 0.595
0.077 0.959 0.117
0.077 0.959 0.617
0.150 0.756 0.352
0.150 0.756 0.852
0.192 0.284 0.507
0.193 0.284 0.007
0.202 0.257 0.325
0.203 0.257 0.825
0.266 0.541 0.712
0.267 0.541 0.211
0.487 0.215 0.154
0.487 0.216 0.654
0.513 0.784 0.346
0.513 0.785 0.846
0.733 0.459 0.789
0.734 0.459 0.288
0.797 0.743 0.175
0.798 0.743 0.675
0.807 0.716 0.993
0.808 0.716 0.493
0.850 0.244 0.148
0.850 0.244 0.648
0.923 0.041 0.383
0.923 0.041 0.883
```

=====

## VC2O6 (PBE+U)

Data for a relaxed structure of VC2O6.

## Properties
* magnetization: 2.0 μB per cell
* energy relative to the lowest polymorph listed for this composition: 0.00 eV/f.u.
* space-group type: P2_1/c (14)
* electronic total energy: -7.6703 eV per atom

The structure in POSCAR format:
```
VC2O6
1.0
4.571 0.000 0.000
0.000 6.302 0.000
-4.420 0.000 7.750
V C O
2 4 12
direct
0.000 0.000 0.000
0.000 0.500 0.500
0.318 0.203 0.808
0.318 0.297 0.308
0.682 0.703 0.692
0.682 0.797 0.192
0.059 0.144 0.815
0.059 0.356 0.315
0.297 0.207 0.173
0.297 0.293 0.673
0.378 0.674 0.561
0.378 0.826 0.061
0.622 0.174 0.939
0.622 0.326 0.439
0.703 0.707 0.327
0.703 0.793 0.827
0.941 0.644 0.685
0.941 0.856 0.185
```

=====

## VC2O6 (PBE+U)

Data for a relaxed structure of VC2O6.

## Properties
* magnetization: 4.0 μB per cell
* energy relative to the lowest polymorph listed for this composition: 0.24 eV/f.u.
* electronic total energy: -7.6431 eV per atom

The structure in POSCAR format:
```
VC2O6
1.0
-2.932 3.739 0.984
-5.896 -1.782 1.242
3.574 1.692 16.104
C V O
8 4 24
direct
0.038 0.116 0.808
0.962 0.884 0.192
0.288 0.366 0.058
0.538 0.616 0.308
0.712 0.634 0.942
0.789 0.866 0.558
0.212 0.134 0.442
0.462 0.384 0.692
0.125 0.125 0.625
0.875 0.875 0.375
0.625 0.625 0.125
0.374 0.375 0.875
0.530 0.380 0.076
0.789 0.787 0.484
0.469 0.620 0.924
0.699 0.334 0.636
0.220 0.371 0.674
0.040 0.037 0.734
0.711 0.712 0.016
0.211 0.212 0.515
0.449 0.084 0.386
0.198 0.834 0.136
0.801 0.166 0.864
0.289 0.288 0.985
0.948 0.584 0.886
0.552 0.916 0.614
0.301 0.666 0.364
0.960 0.963 0.265
0.460 0.463 0.766
0.539 0.537 0.235
0.031 0.880 0.576
0.719 0.871 0.174
0.280 0.129 0.827
0.051 0.416 0.114
0.970 0.120 0.424
0.781 0.629 0.326
```

=====

## VC2O6 (PBE+U)

Data for a relaxed structure of VC2O6.

## Properties
* magnetization: 4.0 μB per cell
* energy relative to the lowest polymorph listed for this composition: 0.27 eV/f.u.
* space-group type: P-1 (2)
* electronic total energy: -7.6401 eV per atom

The structure in POSCAR format:
```
VC2O6
1.0
4.851 0.000 0.000
2.390 5.915 0.000
2.412 1.890 16.337
V C O
4 8 24
direct
0.000 0.000 0.000
0.000 0.500 0.500
0.499 0.250 0.750
0.501 0.750 0.250
0.093 0.163 0.651
0.094 0.662 0.151
0.406 0.088 0.099
0.407 0.588 0.599
0.593 0.412 0.401
0.594 0.912 0.901
0.906 0.338 0.849
0.907 0.837 0.349
0.162 0.361 0.831
0.164 0.859 0.331
0.171 0.230 0.577
0.173 0.730 0.077
0.220 0.150 0.044
0.220 0.650 0.544
0.278 0.101 0.706
0.281 0.599 0.206
0.327 0.520 0.673
0.329 0.019 0.173
0.337 0.390 0.419
0.337 0.891 0.919
0.663 0.109 0.081
0.663 0.610 0.581
0.671 0.981 0.827
0.673 0.480 0.327
0.719 0.401 0.794
0.722 0.899 0.294
0.780 0.350 0.456
0.780 0.850 0.956
0.827 0.270 0.923
0.829 0.770 0.423
0.836 0.141 0.669
0.838 0.639 0.169
```

=====

## VC2O6 (PBE+U)

Data for a relaxed structure of VC2O6.

## Properties
* magnetization: 4.0 μB per cell
* energy relative to the lowest polymorph listed for this composition: 0.35 eV/f.u.
* space-group type: Pna2_1 (33)
* electronic total energy: -7.6317 eV per atom

The structure in POSCAR format:
```
VC2O6
1.0
7.606 0.000 0.000
0.000 7.134 0.000
0.000 0.000 9.238
V C O
4 8 24
direct
0.145 0.237 0.000
0.355 0.737 0.500
0.645 0.263 0.000
0.855 0.763 0.500
0.219 0.575 0.776
0.246 0.421 0.272
0.254 0.921 0.772
0.281 0.075 0.276
0.719 0.925 0.776
0.746 0.079 0.272
0.754 0.579 0.772
0.781 0.425 0.276
0.074 0.787 0.502
0.154 0.452 0.854
0.155 0.426 0.157
0.196 0.756 0.834
0.206 0.050 0.155
0.207 0.065 0.838
0.293 0.565 0.338
0.294 0.550 0.655
0.304 0.256 0.334
0.345 0.926 0.657
0.346 0.952 0.354
0.426 0.287 0.002
0.574 0.713 0.502
0.654 0.048 0.854
0.655 0.074 0.157
0.696 0.744 0.834
0.706 0.450 0.155
0.707 0.435 0.838
0.793 0.935 0.338
0.794 0.950 0.655
0.804 0.244 0.334
0.845 0.574 0.657
0.846 0.548 0.354
0.926 0.213 0.002
```

=====

| no. | energy relative to the elements (eV per atom) |
| --- | --- |
| 1 | -0.957 |
| 2 | -0.783 |
| 3 | 0.275 |
| 4 | -1.655 |
| 5 | -0.991 |
| 6 | -0.836 |
| 7 | -1.945 |
| 8 | -1.958 |
| 9 | -1.931 |
| 10 | -1.928 |
| 11 | -1.920 |